# 1
This record from Materials Project describes an optimized crystal structure of LiV2O5. The functional is PBE+U.

E above lowest polymorph, meV/atom: 0.0

Cell lengths 7.705, 6.687, 7.644 Å; angles 90.00, 90.00, 90.00 degrees
Space group Pnma (No. 62)
One atom of each set of equivalent atoms:
Li 0.000 0.000 0.000 (multiplicity 4)
V 0.125 0.250 0.371 (multiplicity 4)
V 0.169 0.750 0.270 (multiplicity 4)
O 0.056 0.750 0.497 (multiplicity 4)
O 0.121 0.250 0.835 (multiplicity 4)
O 0.122 0.038 0.237 (multiplicity 8)
O 0.190 0.750 0.004 (multiplicity 4)

# 2
This record from Materials Project describes an optimized crystal structure of Li2V3O7. The functional is PBE+U.

Cell lengths 10.5856, 10.5856, 9.5293 Å; angles 90.00, 90.00, 120.00 degrees
Space group P31c (No. 159)
One atom of each set of equivalent atoms:
Li 0.0000 0.0000 0.0000 (multiplicity 2)
Li 0.0505 0.5212 0.2269 (multiplicity 6)
Li 0.3333 0.6667 0.5663 (multiplicity 2)
Li 0.3333 0.6667 0.9262 (multiplicity 2)
V 0.1271 0.3313 0.3968 (multiplicity 6)
V 0.1265 0.7946 0.0908 (multiplicity 6)
V 0.1609 0.3231 0.7428 (multiplicity 6)
O 0.0435 0.7261 0.2820 (multiplicity 6)
O 0.0455 0.3220 0.2040 (multiplicity 6)
O 0.0694 0.8333 0.5618 (multiplicity 6)
O 0.0719 0.2450 0.9255 (multiplicity 6)
O 0.1579 0.6573 0.0523 (multiplicity 6)
O 0.1638 0.4995 0.4402 (multiplicity 6)
O 0.2508 0.7474 0.7422 (multiplicity 6)

# 3
This record from Materials Project describes an optimized crystal structure of Li9V19O48. The functional is PBE+U.

Cell lengths 5.081, 10.300, 17.238 Å; angles 89.96, 89.37, 89.91 degrees
Space group P1 (No. 1)
One atom of each set of equivalent atoms:
Li 0.000 0.000 0.000 (multiplicity 1)
Li 0.000 0.499 0.497 (multiplicity 1)
Li 0.491 0.334 0.231 (multiplicity 1)
Li 0.498 0.000 0.556 (multiplicity 1)
Li 0.506 0.836 0.720 (multiplicity 1)
Li 0.653 0.832 0.276 (multiplicity 1)
Li 0.842 0.332 0.778 (multiplicity 1)
Li 0.987 0.339 0.329 (multiplicity 1)
Li 0.999 0.664 0.000 (multiplicity 1)
V 0.033 0.332 0.971 (multiplicity 1)
V 0.036 0.054 0.684 (multiplicity 1)
V 0.037 0.608 0.682 (multiplicity 1)
V 0.156 0.829 0.278 (multiplicity 1)
V 0.342 0.329 0.776 (multiplicity 1)
V 0.461 0.553 0.369 (multiplicity 1)
V 0.461 0.832 0.085 (multiplicity 1)
V 0.463 0.107 0.372 (multiplicity 1)
V 0.505 0.513 0.056 (multiplicity 1)
V 0.507 0.151 0.056 (multiplicity 1)
V 0.513 0.652 0.550 (multiplicity 1)
V 0.517 0.331 0.583 (multiplicity 1)
V 0.520 0.611 0.870 (multiplicity 1)
V 0.524 0.053 0.871 (multiplicity 1)
V 0.969 0.552 0.182 (multiplicity 1)
V 0.971 0.111 0.184 (multiplicity 1)
V 0.977 0.832 0.471 (multiplicity 1)
V 0.985 0.153 0.501 (multiplicity 1)
V 0.992 0.833 0.827 (multiplicity 1)
O 0.112 0.465 0.731 (multiplicity 1)
O 0.114 0.333 0.872 (multiplicity 1)
O 0.117 0.203 0.735 (multiplicity 1)
O 0.142 0.208 0.241 (multiplicity 1)
O 0.147 0.972 0.494 (multiplicity 1)
O 0.151 0.456 0.236 (multiplicity 1)
O 0.166 0.189 0.410 (multiplicity 1)
O 0.176 0.577 0.102 (multiplicity 1)
O 0.180 0.088 0.104 (multiplicity 1)
O 0.188 0.706 0.494 (multiplicity 1)
O 0.195 0.466 0.397 (multiplicity 1)
O 0.200 0.832 0.025 (multiplicity 1)
O 0.306 0.956 0.822 (multiplicity 1)
O 0.306 0.971 0.658 (multiplicity 1)
O 0.308 0.205 0.561 (multiplicity 1)
O 0.310 0.709 0.818 (multiplicity 1)
O 0.326 0.332 0.034 (multiplicity 1)
O 0.328 0.689 0.646 (multiplicity 1)
O 0.347 0.471 0.562 (multiplicity 1)
O 0.356 0.570 0.957 (multiplicity 1)
O 0.359 0.096 0.958 (multiplicity 1)
O 0.376 0.834 0.184 (multiplicity 1)
O 0.378 0.703 0.321 (multiplicity 1)
O 0.384 0.962 0.324 (multiplicity 1)
O 0.568 0.464 0.818 (multiplicity 1)
O 0.572 0.328 0.684 (multiplicity 1)
O 0.574 0.199 0.820 (multiplicity 1)
O 0.638 0.202 0.314 (multiplicity 1)
O 0.650 0.590 0.457 (multiplicity 1)
O 0.651 0.690 0.064 (multiplicity 1)
O 0.652 0.973 0.064 (multiplicity 1)
O 0.659 0.464 0.311 (multiplicity 1)
O 0.668 0.469 0.145 (multiplicity 1)
O 0.671 0.194 0.146 (multiplicity 1)
O 0.672 0.078 0.452 (multiplicity 1)
O 0.689 0.820 0.532 (multiplicity 1)
O 0.804 0.698 0.893 (multiplicity 1)
O 0.805 0.964 0.896 (multiplicity 1)
O 0.806 0.318 0.524 (multiplicity 1)
O 0.823 0.580 0.605 (multiplicity 1)
O 0.831 0.463 0.992 (multiplicity 1)
O 0.834 0.201 0.993 (multiplicity 1)
O 0.839 0.956 0.744 (multiplicity 1)
O 0.849 0.090 0.600 (multiplicity 1)
O 0.856 0.712 0.740 (multiplicity 1)
O 0.923 0.829 0.370 (multiplicity 1)
O 0.924 0.701 0.231 (multiplicity 1)
O 0.926 0.962 0.232 (multiplicity 1)

| no. | formation enthalpy at 0 K (meV/atom) | VASP energy (eV/atom) |
| --- | --- | --- |
| 1 | -2454 | -7.2019 |
| 2 | -2430 | -7.0795 |
| 3 | -2412 | -7.1748 |